[1]
{"formula": "LiScPd2", "functional": "meta-GGA r2SCAN", "state": "relaxed", "lattice": [[0.0000, 3.1602, 3.1602], [3.1602, 0.0000, 3.1602], [3.1602, 3.1602, 0.0000]], "species": ["Li", "Sc", "Pd", "Pd"], "frac_coords": [[0.0000, 0.0000, 0.0000], [0.5000, 0.5000, 0.5000], [0.2500, 0.2500, 0.2500], [0.7500, 0.7500, 0.7500]], "spacegroup": "No. 225"}

***

[2]
{"formula": "Li13Si10Pd14", "functional": "meta-GGA r2SCAN", "state": "relaxed", "lattice": [[12.7573, 0.0000, 0.0000], [0.0000, 18.4956, 0.0000], [0.0000, 0.0000, 4.3522]], "species": ["Li", "Li", "Li", "Li", "Li", "Li", "Li", "Li", "Li", "Li", "Li", "Li", "Li", "Li", "Li", "Li", "Li", "Li", "Li", "Li", "Li", "Li", "Li", "Li", "Li", "Li", "Si", "Si", "Si", "Si", "Si", "Si", "Si", "Si", "Si", "Si", "Si", "Si", "Si", "Si", "Si", "Si", "Si", "Si", "Si", "Si", "Pd", "Pd", "Pd", "Pd", "Pd", "Pd", "Pd", "Pd", "Pd", "Pd", "Pd", "Pd", "Pd", "Pd", "Pd", "Pd", "Pd", "Pd", "Pd", "Pd", "Pd", "Pd", "Pd", "Pd", "Pd", "Pd", "Pd", "Pd"], "frac_coords": [[0.0000, 0.0000, 0.0000], [0.0076, 0.1378, 0.0000], [0.0088, 0.4158, 0.0000], [0.0207, 0.7263, 0.0000], [0.2045, 0.3534, 0.0000], [0.2115, 0.0632, 0.0000], [0.2165, 0.7762, 0.0000], [0.2835, 0.2762, 0.5000], [0.2885, 0.5632, 0.5000], [0.2955, 0.8534, 0.5000], [0.4793, 0.2263, 0.5000], [0.4912, 0.9158, 0.5000], [0.4924, 0.6378, 0.5000], [0.5000, 0.5000, 0.5000], [0.5076, 0.3622, 0.5000], [0.5088, 0.0842, 0.5000], [0.5207, 0.7737, 0.5000], [0.7045, 0.1466, 0.5000], [0.7115, 0.4368, 0.5000], [0.7165, 0.7238, 0.5000], [0.7835, 0.2238, 0.0000], [0.7885, 0.9368, 0.0000], [0.7955, 0.6466, 0.0000], [0.9793, 0.2737, 0.0000], [0.9912, 0.5842, 0.0000], [0.9924, 0.8622, 0.0000], [0.1159, 0.1906, 0.5000], [0.1167, 0.9356, 0.5000], [0.1265, 0.4352, 0.5000], [0.1328, 0.6827, 0.5000], [0.1950, 0.4975, 0.0000], [0.3050, 0.9975, 0.5000], [0.3672, 0.1827, 0.0000], [0.3735, 0.9352, 0.0000], [0.3833, 0.4356, 0.0000], [0.3841, 0.6906, 0.0000], [0.6159, 0.3094, 0.0000], [0.6167, 0.5644, 0.0000], [0.6265, 0.0648, 0.0000], [0.6328, 0.8173, 0.0000], [0.6950, 0.0025, 0.5000], [0.8050, 0.5025, 0.0000], [0.8672, 0.3173, 0.5000], [0.8735, 0.5648, 0.5000], [0.8833, 0.0644, 0.5000], [0.8841, 0.8094, 0.5000], [0.0616, 0.3156, 0.5000], [0.0723, 0.0625, 0.5000], [0.0726, 0.5595, 0.5000], [0.0764, 0.8081, 0.5000], [0.1875, 0.9155, 0.0000], [0.1876, 0.2117, 0.0000], [0.2084, 0.6284, 0.0000], [0.2916, 0.1284, 0.5000], [0.3124, 0.7117, 0.5000], [0.3125, 0.4155, 0.5000], [0.4236, 0.3081, 0.0000], [0.4274, 0.0595, 0.0000], [0.4277, 0.5625, 0.0000], [0.4384, 0.8156, 0.0000], [0.5616, 0.1844, 0.0000], [0.5723, 0.4375, 0.0000], [0.5726, 0.9405, 0.0000], [0.5764, 0.6919, 0.0000], [0.6875, 0.5845, 0.5000], [0.6876, 0.2883, 0.5000], [0.7084, 0.8716, 0.5000], [0.7916, 0.3716, 0.0000], [0.8124, 0.7883, 0.0000], [0.8125, 0.0845, 0.0000], [0.9236, 0.1919, 0.5000], [0.9274, 0.4405, 0.5000], [0.9277, 0.9375, 0.5000], [0.9384, 0.6844, 0.5000]], "spacegroup": "No. 58"}

***

no.,final energy (eV per atom)
1,-15.645
2,-12.494